DFT (PBE) results for a relaxed Na6Zn4Si3Sn4S9O48 crystal.

a = 8.8733 Å, b = 15.4174 Å, c = 22.7495 Å
α = 90.06°, β = 90.44°, γ = 90.19°
Closest atoms and distances in Å follow each position.
Space group P1 (No. 1)
Symmetry-distinct sites (fractional):
Na1 0.0000 0.0000 0.0000 [1 per cell]  6 O 2.42-2.67
Na2 0.0015 0.6858 0.1637 [1 per cell]  3 O 2.34-2.59
Na3 0.0207 0.3408 0.8280 [1 per cell]  5 O 2.38-2.66
Na4 0.0287 0.3297 0.3354 [1 per cell]  4 O 2.37-2.65
Na5 0.0301 0.0151 0.5053 [1 per cell]  3 O 2.33-2.50
Na6 0.1390 0.5022 0.7595 [1 per cell]  6 O 2.36-2.64
Na7 0.3867 0.0074 0.2581 [1 per cell]  5 O 2.31-2.46
Na8 0.4836 0.8275 0.8324 [1 per cell]  6 O 2.43-2.71
Na9 0.4881 0.5143 0.0004 [1 per cell]  2 O 2.29-2.50
Na10 0.5094 0.1985 0.6703 [1 per cell]  2 O 2.22-2.41
Na11 0.5119 0.8382 0.3363 [1 per cell]  6 O 2.48-2.69
Na12 0.5150 0.4990 0.5053 [1 per cell]  4 O 2.33-2.53
Na13 0.5265 0.1758 0.1623 [1 per cell]  3 O 2.38-2.56
Na14 0.6369 0.0043 0.7495 [1 per cell]  4 O 2.34-2.42
Na15 0.6478 0.3365 0.0864 [1 per cell]  5 O 2.39-2.60
Na16 0.8636 0.8351 0.5916 [1 per cell]  6 O 2.38-2.58
Na17 0.8738 0.5051 0.2487 [1 per cell]  5 O 2.35-2.58
Na18 0.9888 0.6699 0.6662 [1 per cell]  6 O 2.44-2.70
Zn1 0.0044 0.3333 0.6858 [1 per cell]  2 O 1.88-1.95
Zn2 0.0068 0.3314 0.1777 [1 per cell]  2 O 1.88-2.04
Zn3 0.0082 0.6756 0.3215 [1 per cell]  6 O 2.01-2.25
Zn4 0.0143 0.0098 0.6528 [1 per cell]  6 O 2.01-2.22
Zn5 0.0328 0.6715 0.8298 [1 per cell]  2 O 1.90-1.93
Zn6 0.4813 0.1742 0.3348 [1 per cell]  2 O 1.89-1.94
Zn7 0.4960 0.1892 0.8136 [1 per cell]  3 O 1.90-2.06
Zn8 0.5008 0.5091 0.1522 [1 per cell]  6 O 2.05-2.22
Zn9 0.5071 0.8263 0.6811 [1 per cell]  3 O 1.87-2.09
Zn10 0.5198 0.1670 0.0161 [1 per cell]  3 O 1.94-2.13
Zn11 0.5253 0.8310 0.1767 [1 per cell]  2 O 1.87-2.04
Zn12 0.9945 0.6661 0.5200 [1 per cell]  3 O 1.92-2.08
Si1 0.1525 0.5234 0.9178 [1 per cell]  4 O 1.61-1.66
Si2 0.1609 0.8239 0.9163 [1 per cell]  4 O 1.59-1.67
Si3 0.3512 0.3238 0.4166 [1 per cell]  4 O 1.61-1.67
Si4 0.3524 0.3568 0.7464 [1 per cell]  4 O 1.61-1.68
Si5 0.3675 0.0220 0.4167 [1 per cell]  4 O 1.62-1.68
Si6 0.6559 0.6922 0.5845 [1 per cell]  4 O 1.62-1.68
Si7 0.7230 0.3332 0.5844 [1 per cell]  4 O 1.59-1.67
Si8 0.8032 0.8322 0.0841 [1 per cell]  4 O 1.60-1.66
Si9 0.8559 0.1946 0.0836 [1 per cell]  4 O 1.62-1.66
Sn1 0.0106 0.3398 0.4856 [1 per cell]  4 O 1.92-2.15
Sn2 0.0134 0.3379 0.9831 [1 per cell]  4 O 1.94-2.16
Sn3 0.0129 0.6796 0.0139 [1 per cell]  4 O 1.96-2.16
Sn4 0.0168 0.0066 0.3552 [1 per cell]  6 O 1.98-2.11
Sn5 0.0176 0.0018 0.8525 [1 per cell]  6 O 1.96-2.18
Sn6 0.4883 0.5032 0.8523 [1 per cell]  6 O 1.96-2.19
Sn7 0.4991 0.5022 0.3530 [1 per cell]  6 O 1.96-2.15
Sn8 0.5009 0.8371 0.4854 [1 per cell]  4 O 1.94-2.13
Sn9 0.5018 0.1797 0.5176 [1 per cell]  5 O 1.97-2.20
Sn10 0.5097 0.8415 0.9826 [1 per cell]  3 O 1.93-2.15
Sn11 0.5231 0.4982 0.6437 [1 per cell]  5 O 1.95-2.17
Sn12 0.9924 0.0049 0.1415 [1 per cell]  6 O 1.97-2.19
S1 0.1514 0.1512 0.2483 [1 per cell]  4 O 1.46-1.52
S2 0.1542 0.8588 0.2491 [1 per cell]  4 O 1.47-1.52
S3 0.1553 0.1865 0.5854 [1 per cell]  4 O 1.44-1.51
S4 0.1570 0.4907 0.5858 [1 per cell]  4 O 1.46-1.52
S5 0.2067 0.5069 0.2492 [1 per cell]  4 O 1.47-1.51
S6 0.2072 0.8425 0.5855 [1 per cell]  4 O 1.46-1.52
S7 0.2167 0.1715 0.9180 [1 per cell]  4 O 1.46-1.51
S8 0.2992 0.6730 0.4160 [1 per cell]  4 O 1.46-1.51
S9 0.3067 0.3421 0.0867 [1 per cell]  4 O 1.47-1.50
S10 0.3079 0.0028 0.7493 [1 per cell]  4 O 1.47-1.52
S11 0.3598 0.6892 0.0864 [1 per cell]  4 O 1.47-1.50
S12 0.3610 0.9874 0.0888 [1 per cell]  4 O 1.47-1.51
S13 0.3624 0.6536 0.7489 [1 per cell]  4 O 1.48-1.52
S14 0.6512 0.6521 0.2537 [1 per cell]  4 O 1.47-1.52
S15 0.6556 0.0264 0.9130 [1 per cell]  4 O 1.46-1.51
S16 0.6565 0.9892 0.5863 [1 per cell]  4 O 1.47-1.52
S17 0.6566 0.3219 0.9186 [1 per cell]  4 O 1.46-1.51
S18 0.6567 0.3577 0.2491 [1 per cell]  4 O 1.46-1.54
S19 0.7105 0.6705 0.9150 [1 per cell]  4 O 1.45-1.51
S20 0.7168 0.0069 0.2529 [1 per cell]  4 O 1.47-1.51
S21 0.7979 0.5120 0.7546 [1 per cell]  4 O 1.47-1.51
S22 0.8027 0.1712 0.4154 [1 per cell]  4 O 1.46-1.53
S23 0.8581 0.8576 0.7486 [1 per cell]  4 O 1.45-1.54
S24 0.8589 0.4896 0.0871 [1 per cell]  4 O 1.48-1.50
S25 0.8593 0.5251 0.4130 [1 per cell]  4 O 1.45-1.52
S26 0.8595 0.8207 0.4165 [1 per cell]  4 O 1.47-1.52
S27 0.8638 0.1486 0.7540 [1 per cell]  4 O 1.45-1.53
O1 0.0809 0.4246 0.9261 [1 per cell]  1 Si 1.66
O2 0.0833 0.2367 0.2428 [1 per cell]  1 S 1.46
O3 0.0828 0.7734 0.2558 [1 per cell]  1 S 1.47
O4 0.0836 0.0993 0.5879 [1 per cell]  1 S 1.49
O5 0.0854 0.7865 0.9764 [1 per cell]  1 Si 1.63
O6 0.0861 0.9019 0.1966 [1 per cell]  1 S 1.49
O7 0.0866 0.1121 0.3040 [1 per cell]  1 S 1.52
O8 0.0873 0.9229 0.9142 [1 per cell]  1 Si 1.66
O9 0.0888 0.5568 0.8555 [1 per cell]  1 Si 1.61
O10 0.0905 0.5775 0.5782 [1 per cell]  1 S 1.47
O11 0.0968 0.4504 0.6386 [1 per cell]  1 S 1.46
O12 0.0984 0.2267 0.5289 [1 per cell]  1 S 1.51
O13 0.1004 0.9175 0.5887 [1 per cell]  1 S 1.50
O14 0.1084 0.5849 0.2548 [1 per cell]  1 S 1.49
O15 0.1098 0.4284 0.2456 [1 per cell]  1 S 1.48
O16 0.1114 0.0942 0.9144 [1 per cell]  1 S 1.51
O17 0.1156 0.0912 0.1980 [1 per cell]  1 S 1.50
O18 0.1162 0.5831 0.9757 [1 per cell]  1 Si 1.64
O19 0.1166 0.7625 0.5787 [1 per cell]  1 S 1.48
O20 0.1192 0.2514 0.9202 [1 per cell]  1 S 1.51
O21 0.1270 0.2385 0.6369 [1 per cell]  1 S 1.44
O22 0.1291 0.9151 0.3032 [1 per cell]  1 S 1.52
O23 0.1301 0.4363 0.5309 [1 per cell]  1 S 1.52
O24 0.1382 0.7712 0.8567 [1 per cell]  1 Si 1.59
O25 0.1660 0.3347 0.4250 [1 per cell]  1 Si 1.66
O26 0.1688 0.3525 0.7417 [1 per cell]  1 Si 1.63
O27 0.1786 0.0132 0.4153 [1 per cell]  1 Si 1.68
O28 0.1923 0.6770 0.0815 [1 per cell]  1 S 1.50
O29 0.1919 0.9947 0.0909 [1 per cell]  1 S 1.51
O30 0.1959 0.6553 0.7517 [1 per cell]  1 S 1.48
O31 0.2077 0.6634 0.4686 [1 per cell]  1 S 1.46
O32 0.2113 0.0144 0.6973 [1 per cell]  1 S 1.47
O33 0.2118 0.6814 0.3607 [1 per cell]  1 S 1.48
O34 0.2137 0.3583 0.0324 [1 per cell]  1 S 1.50
O35 0.2148 0.3360 0.1399 [1 per cell]  1 S 1.47
O36 0.2157 0.9909 0.8046 [1 per cell]  1 S 1.52
O37 0.2985 0.4960 0.3049 [1 per cell]  1 S 1.51
O38 0.2980 0.8602 0.5305 [1 per cell]  1 S 1.52
O39 0.3027 0.8367 0.6379 [1 per cell]  1 S 1.46
O40 0.3036 0.5184 0.1978 [1 per cell]  1 S 1.47
O41 0.3064 0.1624 0.9723 [1 per cell]  1 S 1.47
O42 0.3060 0.1769 0.8644 [1 per cell]  1 S 1.46
O43 0.3174 0.1544 0.2515 [1 per cell]  1 S 1.47
O44 0.3198 0.8541 0.2447 [1 per cell]  1 S 1.48
O45 0.3239 0.1744 0.5812 [1 per cell]  1 S 1.51
O46 0.3245 0.4999 0.5873 [1 per cell]  1 S 1.49
O47 0.3397 0.5179 0.9176 [1 per cell]  1 Si 1.66
O48 0.3470 0.8349 0.9246 [1 per cell]  1 Si 1.67
O49 0.3671 0.2723 0.3555 [1 per cell]  1 Si 1.61
O50 0.3692 0.4192 0.8069 [1 per cell]  1 Si 1.68
O51 0.3840 0.7414 0.1400 [1 per cell]  1 S 1.47
O52 0.3884 0.9317 0.0362 [1 per cell]  1 S 1.50
O53 0.3975 0.2624 0.0804 [1 per cell]  1 S 1.48
O54 0.3977 0.7527 0.4189 [1 per cell]  1 S 1.51
O55 0.4027 0.5957 0.4117 [1 per cell]  1 S 1.51
O56 0.4034 0.5990 0.6980 [1 per cell]  1 S 1.48
O57 0.4028 0.9236 0.7456 [1 per cell]  1 S 1.49
O58 0.4036 0.0853 0.4721 [1 per cell]  1 Si 1.62
O59 0.4077 0.0792 0.7558 [1 per cell]  1 S 1.48
O60 0.4130 0.4183 0.0894 [1 per cell]  1 S 1.50
O61 0.4193 0.7318 0.0323 [1 per cell]  1 S 1.50
O62 0.4193 0.9474 0.1437 [1 per cell]  1 S 1.48
O63 0.4255 0.7422 0.7455 [1 per cell]  1 S 1.48
O64 0.4257 0.0743 0.0817 [1 per cell]  1 S 1.47
O65 0.4267 0.4231 0.4138 [1 per cell]  1 Si 1.67
O66 0.4277 0.0550 0.3534 [1 per cell]  1 Si 1.62
O67 0.4283 0.6167 0.8052 [1 per cell]  1 S 1.52
O68 0.4298 0.2834 0.4751 [1 per cell]  1 Si 1.62
O69 0.4310 0.4066 0.6907 [1 per cell]  1 Si 1.64
O70 0.4328 0.6029 0.0899 [1 per cell]  1 S 1.48
O71 0.4336 0.2637 0.7517 [1 per cell]  1 Si 1.61
O72 0.4391 0.9236 0.4254 [1 per cell]  1 Si 1.66
O73 0.5700 0.5984 0.5912 [1 per cell]  1 Si 1.64
O74 0.5761 0.7327 0.5230 [1 per cell]  1 Si 1.68
O75 0.5793 0.7376 0.2507 [1 per cell]  1 S 1.47
O76 0.5876 0.6088 0.3083 [1 per cell]  1 S 1.52
O77 0.5886 0.0751 0.5758 [1 per cell]  1 S 1.48
O78 0.5889 0.2723 0.2570 [1 per cell]  1 S 1.46
O79 0.5905 0.9359 0.9170 [1 per cell]  1 S 1.51
O80 0.5930 0.9529 0.6405 [1 per cell]  1 S 1.47
O81 0.5942 0.2869 0.9739 [1 per cell]  1 S 1.48
O82 0.5949 0.4129 0.9128 [1 per cell]  1 S 1.51
O83 0.5958 0.0662 0.8591 [1 per cell]  1 S 1.47
O84 0.5965 0.3996 0.1949 [1 per cell]  1 S 1.49
O85 0.6074 0.7472 0.9214 [1 per cell]  1 S 1.51
O86 0.6120 0.4188 0.5838 [1 per cell]  1 Si 1.65
O87 0.6120 0.5911 0.9110 [1 per cell]  1 S 1.50
O88 0.6180 0.2437 0.5785 [1 per cell]  1 Si 1.67
O89 0.6183 0.9294 0.2499 [1 per cell]  1 S 1.48
O90 0.6235 0.0748 0.9668 [1 per cell]  1 S 1.46
O91 0.6229 0.2692 0.8669 [1 per cell]  1 S 1.46
O92 0.6246 0.5964 0.2018 [1 per cell]  1 S 1.47
O93 0.6271 0.0865 0.2555 [1 per cell]  1 S 1.47
O94 0.6266 0.4187 0.3014 [1 per cell]  1 S 1.54
O95 0.6296 0.9298 0.5339 [1 per cell]  1 S 1.52
O96 0.6459 0.7615 0.6377 [1 per cell]  1 Si 1.62
O97 0.6743 0.1834 0.0758 [1 per cell]  1 Si 1.63
O98 0.6888 0.5188 0.4103 [1 per cell]  1 S 1.52
O99 0.6903 0.8557 0.7477 [1 per cell]  1 S 1.49
O100 0.6912 0.4956 0.0902 [1 per cell]  1 S 1.49
O101 0.6922 0.8295 0.4200 [1 per cell]  1 S 1.49
O102 0.6979 0.1509 0.7611 [1 per cell]  1 S 1.48
O103 0.6980 0.5045 0.8076 [1 per cell]  1 S 1.51
O104 0.6983 0.8508 0.0253 [1 per cell]  1 Si 1.65
O105 0.7051 0.5240 0.7001 [1 per cell]  1 S 1.49
O106 0.7125 0.1594 0.4689 [1 per cell]  1 S 1.47
O107 0.7133 0.1809 0.3616 [1 per cell]  1 S 1.46
O108 0.7176 0.8195 0.1451 [1 per cell]  1 Si 1.60
O109 0.7986 0.6580 0.9705 [1 per cell]  1 S 1.49
O110 0.8030 0.6833 0.8635 [1 per cell]  1 S 1.45
O111 0.8136 0.0142 0.1997 [1 per cell]  1 S 1.49
O112 0.8150 0.9952 0.3070 [1 per cell]  1 S 1.51
O113 0.8164 0.3478 0.5219 [1 per cell]  1 Si 1.67
O114 0.8184 0.6586 0.2604 [1 per cell]  1 S 1.49
O115 0.8242 0.3555 0.2486 [1 per cell]  1 S 1.49
O116 0.8237 0.9961 0.5895 [1 per cell]  1 S 1.49
O117 0.8254 0.0179 0.9104 [1 per cell]  1 S 1.51
O118 0.8246 0.3239 0.6417 [1 per cell]  1 Si 1.59
O119 0.8253 0.3298 0.9221 [1 per cell]  1 S 1.50
O120 0.8376 0.6828 0.5767 [1 per cell]  1 Si 1.63
O121 0.8674 0.2576 0.1404 [1 per cell]  1 Si 1.62
O122 0.8870 0.4298 0.0362 [1 per cell]  1 S 1.50
O123 0.8890 0.4326 0.7522 [1 per cell]  1 S 1.47
O124 0.8893 0.9180 0.8011 [1 per cell]  1 S 1.54
O125 0.8918 0.0932 0.7021 [1 per cell]  1 S 1.48
O126 0.8917 0.7713 0.3627 [1 per cell]  1 S 1.47
O127 0.8954 0.5773 0.4643 [1 per cell]  1 S 1.45
O128 0.8963 0.5893 0.7577 [1 per cell]  1 S 1.48
O129 0.9015 0.0905 0.4130 [1 per cell]  1 S 1.53
O130 0.9040 0.7437 0.0761 [1 per cell]  1 Si 1.64
O131 0.9064 0.2469 0.4209 [1 per cell]  1 S 1.49
O132 0.9164 0.5622 0.3570 [1 per cell]  1 S 1.49
O133 0.9170 0.9179 0.0848 [1 per cell]  1 Si 1.66
O134 0.9180 0.8995 0.6945 [1 per cell]  1 S 1.49
O135 0.9221 0.4357 0.4174 [1 per cell]  1 S 1.49
O136 0.9222 0.4544 0.1426 [1 per cell]  1 S 1.48
O137 0.9244 0.7722 0.7564 [1 per cell]  1 S 1.45
O138 0.9239 0.9121 0.4112 [1 per cell]  1 S 1.52
O139 0.9249 0.7843 0.4704 [1 per cell]  1 S 1.47
O140 0.9264 0.5760 0.0776 [1 per cell]  1 S 1.48
O141 0.9310 0.2344 0.7519 [1 per cell]  1 S 1.45
O142 0.9339 0.1063 0.8087 [1 per cell]  1 S 1.53
O143 0.9352 0.2383 0.0250 [1 per cell]  1 Si 1.65
O144 0.9441 0.1002 0.0872 [1 per cell]  1 Si 1.66

Results
Its formation energy is -14898 kJ/mol of formula units. The calculated total energy comes out at -5.97 eV/atom.